Below is crystalline CaSmHg2 at its relaxed geometry, with properties calculated at the r²SCAN level.

Summary:
E	-34.49	eV per atom
ΔE_f	-0.62	eV/atom

Cell and atoms, written as extended XYZ:
```
4
Lattice="-0.804 1.004 5.154 1.582 4.623 2.084 -3.598 3.620 1.471" Properties=species:S:1:pos:R:3 pbc="T T T"
Ca -0.705 2.312 2.177
Hg 0.000 0.000 0.000
Hg -1.410 4.623 4.355
Sm -2.115 6.935 6.532
```